No. 1
Entry from Materials Project: a relaxed structure of Mn3CrO8 (PBE with a Hubbard U).

Properties
formation energy: -1.792 eV per atom
MP2020-corrected energy: -392.91 eV per cell
polymorph energy (0 for the lowest one): 0.371 eV/f.u.
VASP energy: -342.91 eV per cell
total magnetic moment: 0.917 μB per atom

Unit cell a=8.2513 b=8.2513 c=8.2513 alpha=90.00 beta=90.00 gamma=90.00
Last column: nearest neighbours and their distance in Å.
Positions (direct):
Mn 0.1260 0.3750 0.3760  6 O 1.94-1.95
Mn 0.3760 0.1260 0.3750  6 O 1.94-1.95
Mn 0.1240 0.8740 0.8750  6 O 1.94-1.95
Mn 0.6250 0.8760 0.3740  6 O 1.94-1.95
Mn 0.3750 0.3760 0.1260  6 O 1.94-1.95
Mn 0.8760 0.3740 0.6250  6 O 1.94-1.95
Mn 0.8750 0.1240 0.8740  6 O 1.94-1.95
Mn 0.1250 0.6240 0.6260  6 O 1.94-1.95
Mn 0.8740 0.8750 0.1240  6 O 1.94-1.95
Mn 0.3740 0.6250 0.8760  6 O 1.94-1.95
Mn 0.6240 0.6260 0.1250  6 O 1.94-1.95
Mn 0.6260 0.1250 0.6240  6 O 1.94-1.95
O 0.6088 0.3920 0.1105  2 Mn 1.94, 1 Cr 1.95
O 0.8609 0.1391 0.6391  3 Mn 1.95
O 0.6420 0.3588 0.6395  2 Mn 1.94, 1 Cr 1.95
O 0.3609 0.3609 0.3609  3 Mn 1.95
O 0.1391 0.6391 0.8609  3 Mn 1.95
O 0.3891 0.6109 0.1109  3 Mn 1.95
O 0.3605 0.1420 0.1412  2 Mn 1.94, 1 Cr 1.95
O 0.1420 0.1412 0.3605  2 Mn 1.94, 1 Cr 1.95
O 0.6080 0.6105 0.8912  2 Mn 1.94, 1 Cr 1.95
O 0.1109 0.3891 0.6109  3 Mn 1.95
O 0.6105 0.8912 0.6080  2 Mn 1.94, 1 Cr 1.95
O 0.8580 0.6412 0.1395  2 Mn 1.94, 1 Cr 1.95
O 0.3920 0.1105 0.6088  2 Mn 1.94, 1 Cr 1.95
O 0.6395 0.6420 0.3588  2 Mn 1.94, 1 Cr 1.95
O 0.3895 0.3912 0.8920  2 Mn 1.94, 1 Cr 1.95
O 0.3580 0.8588 0.8605  2 Mn 1.94, 1 Cr 1.95
O 0.8912 0.6080 0.6105  2 Mn 1.94, 1 Cr 1.95
O 0.8895 0.1088 0.1080  2 Mn 1.94, 1 Cr 1.95
O 0.6391 0.8609 0.1391  3 Mn 1.95
O 0.3912 0.8920 0.3895  2 Mn 1.94, 1 Cr 1.95
O 0.8588 0.8605 0.3580  2 Mn 1.94, 1 Cr 1.95
O 0.8891 0.8891 0.8891  3 Mn 1.95
O 0.8920 0.3895 0.3912  2 Mn 1.94, 1 Cr 1.95
O 0.1088 0.1080 0.8895  2 Mn 1.94, 1 Cr 1.95
O 0.1105 0.6088 0.3920  2 Mn 1.94, 1 Cr 1.95
O 0.6109 0.1109 0.3891  3 Mn 1.95
O 0.6412 0.1395 0.8580  2 Mn 1.94, 1 Cr 1.95
O 0.1412 0.3605 0.1420  2 Mn 1.94, 1 Cr 1.95
O 0.1395 0.8580 0.6412  2 Mn 1.94, 1 Cr 1.95
O 0.3588 0.6395 0.6420  2 Mn 1.94, 1 Cr 1.95
O 0.8605 0.3580 0.8588  2 Mn 1.94, 1 Cr 1.95
O 0.1080 0.8895 0.1088  2 Mn 1.94, 1 Cr 1.95
Cr 0.8750 0.6250 0.3750  6 O 1.95
Cr 0.1250 0.1250 0.1250  6 O 1.95
Cr 0.3750 0.8750 0.6250  6 O 1.95
Cr 0.6250 0.3750 0.8750  6 O 1.95



No. 2
Entry from Materials Project: a relaxed structure of Li7Co5O12 (PBE with a Hubbard U).

Properties
formation energy: -1.679 eV per atom
MP2020-corrected energy: -148.58 eV per cell
polymorph energy (0 for the lowest one): 2.006 eV/f.u.
VASP energy: -132.14 eV per cell
total magnetic moment: 0.083 μB per atom

Unit cell a=2.8996 b=5.1147 c=14.7017 alpha=99.77 beta=93.86 gamma=92.00
Last column: nearest neighbours and their distance in Å.
Positions (direct):
Li 0.9155 0.2608 0.8372  6 O 2.10-2.31
Li 0.5762 0.2422 0.1608  6 O 2.01-2.20
Li 0.0845 0.7392 0.1628  6 O 2.10-2.31
Li 0.7510 0.7483 0.4999  6 O 2.12-2.16
Li 0.5000 0.5000 0.0000  6 O 2.04-2.14
Li 0.2490 0.2517 0.5001  6 O 2.12-2.16
Li 0.4238 0.7578 0.8392  6 O 2.01-2.20
Co 0.8338 0.5022 0.6687  6 O 1.93-2.09
Co 0.3344 0.0017 0.6678  6 O 1.92-2.09
Co 0.1662 0.4978 0.3313  6 O 1.93-2.09
Co 0.6656 0.9983 0.3322  6 O 1.92-2.09
Co 0.0000 0.0000 0.0000  6 O 1.80-1.95
O 0.2220 0.8758 0.4094  3 Co 1.93-2.09, 3 Li 2.13-2.15
O 0.8891 0.8819 0.7443  3 Co 1.92-2.07
O 0.6101 0.6176 0.2533  3 Co 1.93-2.09, 3 Li 2.12-2.15
O 0.0388 0.3232 0.0722  1 Co 1.80, 1 Li 2.01
O 0.7780 0.1242 0.5906  3 Co 1.93-2.09, 3 Li 2.13-2.15
O 0.9612 0.6768 0.9278  1 Co 1.80, 1 Li 2.01
O 0.2804 0.6204 0.5913  3 Co 1.93-2.07, 2 Li 2.12-2.14
O 0.1109 0.1181 0.2557  3 Co 1.92-2.07
O 0.7196 0.3796 0.4087  3 Co 1.93-2.07, 2 Li 2.12-2.14
O 0.4795 0.1127 0.9274  2 Co 1.94-1.95, 3 Li 2.04-2.10
O 0.5205 0.8873 0.0726  2 Co 1.94-1.95, 3 Li 2.04-2.10
O 0.3899 0.3824 0.7467  3 Co 1.93-2.09, 3 Li 2.12-2.15



No. 3
Entry from Materials Project: a relaxed structure of ZnCoF4 (PBE with a Hubbard U).

Properties
formation energy: -2.366 eV per atom
MP2020-corrected energy: -60.44 eV per cell
VASP energy: -53.47 eV per cell
total magnetic moment: 0.499 μB per atom

Unit cell a=6.1865 b=6.1865 c=5.0995 alpha=66.58 beta=66.58 gamma=48.44
Last column: nearest neighbours and their distance in Å.
Positions (direct):
F 0.3611 0.3948 0.6537  1 Co 2.09, 2 Zn 2.15-2.26
F 0.6389 0.6052 0.3463  1 Co 2.09, 2 Zn 2.15-2.26
F 0.1240 0.1312 0.8922  2 Co 2.11-2.27, 2 Zn 2.17-2.24
F 0.6052 0.6389 0.8463  1 Co 2.09, 2 Zn 2.15-2.26
F 0.8688 0.8760 0.6078  2 Co 2.11-2.27, 2 Zn 2.17-2.24
F 0.8760 0.8688 0.1078  2 Co 2.11-2.27, 2 Zn 2.17-2.24
F 0.3948 0.3611 0.1537  1 Co 2.09, 2 Zn 2.15-2.26
F 0.1312 0.1240 0.3922  2 Co 2.11-2.27, 2 Zn 2.17-2.24
Zn 0.2459 0.7541 0.2500  8 F 2.15-2.26
Zn 0.7541 0.2459 0.7500  8 F 2.15-2.26
Co 0.0000 0.5000 0.0000  6 F 2.09-2.27
Co 0.5000 0.0000 0.5000  6 F 2.09-2.27



No. 4
Entry from Materials Project: a relaxed structure of Co4P6O21 (PBE with a Hubbard U).

Properties
formation energy: -2.068 eV per atom
MP2020-corrected energy: -915.68 eV per cell
VASP energy: -831.76 eV per cell
total magnetic moment: 0.000 μB per atom

Unit cell a=21.6210 b=7.3867 c=12.0708 alpha=52.89 beta=90.00 gamma=90.00
Last column: nearest neighbours and their distance in Å.
Positions (direct):
O 0.2186 0.6111 0.6489  1 P 1.53
O 0.7949 0.9909 0.5771  1 P 1.52
O 0.8096 0.3418 0.5716  1 P 1.53
O 0.4288 0.7185 0.7107  1 P 1.54
O 0.5712 0.2815 0.2893  1 P 1.54
O 0.1708 0.5150 0.2506  1 P 1.54
O 0.8237 0.8662 0.2004  1 P 1.54
O 0.3203 0.7623 0.3256  1 P 1.53
O 0.8292 0.4850 0.7494  1 P 1.54
O 0.5419 0.5365 0.9035  1 P 1.52
O 0.2664 0.3479 0.4135  1 P 1.54
O 0.2186 0.9597 0.1349  1 P 1.51
O 0.7917 0.6846 0.8740  1 P 1.51
O 0.2051 0.0091 0.4229  1 P 1.52
O 0.6164 0.2356 0.9546  2 P 1.58-1.60
O 0.9895 0.2187 0.3898  1 P 1.52
O 0.8836 0.2356 0.4546  2 P 1.58-1.60
O 0.5543 0.4715 0.6083  1 P 1.52
O 0.3735 0.7805 0.5059  2 P 1.61
O 0.2336 0.3479 0.9135  1 P 1.54
O 0.2814 0.9597 0.6349  1 P 1.51
O 0.0802 0.9857 0.7614  1 P 1.54
O 0.0105 0.7813 0.6102  1 P 1.52
O 0.4581 0.4635 0.0965  1 P 1.52
O 0.5105 0.2187 0.8898  1 P 1.52
O 0.0494 0.1786 0.8950  1 P 1.51
O 0.5770 0.6007 0.3176  1 P 1.53
O 0.4788 0.1478 0.6077  1 P 1.54
O 0.4457 0.5285 0.3917  1 P 1.52
O 0.3292 0.5150 0.7506  1 P 1.54
O 0.2917 0.3154 0.6260  1 P 1.51
O 0.9230 0.6007 0.8176  1 P 1.53
O 0.7083 0.6846 0.3740  1 P 1.51
O 0.0712 0.7185 0.2107  1 P 1.54
O 0.8203 0.2377 0.1744  1 P 1.53
O 0.4230 0.3993 0.6824  1 P 1.53
O 0.7051 0.9909 0.0771  1 P 1.52
O 0.7336 0.6521 0.5865  1 P 1.54
O 0.1797 0.7623 0.8256  1 P 1.53
O 0.9506 0.8214 0.1050  1 P 1.51
O 0.7814 0.3889 0.3511  1 P 1.53
O 0.6265 0.2195 0.4941  2 P 1.61
O 0.9288 0.2815 0.7893  1 P 1.54
O 0.5212 0.8522 0.3923  1 P 1.54
O 0.7664 0.6521 0.0865  1 P 1.54
O 0.6797 0.2377 0.6744  1 P 1.53
O 0.5494 0.8214 0.6050  1 P 1.51
O 0.0301 0.8701 0.3764  1 P 1.54
O 0.9788 0.8522 0.8923  1 P 1.54
O 0.0212 0.1478 0.1077  1 P 1.54
O 0.1294 0.2089 0.0254  2 P 1.56-1.57
O 0.0419 0.4635 0.5965  1 P 1.52
O 0.7186 0.0403 0.3651  1 P 1.51
O 0.9457 0.4715 0.1083  1 P 1.52
O 0.7186 0.3889 0.8511  1 P 1.53
O 0.6763 0.8662 0.7004  1 P 1.54
O 0.3836 0.7644 0.0454  2 P 1.58-1.60
O 0.1763 0.1338 0.7996  1 P 1.54
O 0.7814 0.0403 0.8651  1 P 1.51
O 0.1904 0.6582 0.4284  1 P 1.53
O 0.1164 0.7644 0.5454  2 P 1.58-1.60
O 0.2949 0.0091 0.9229  1 P 1.52
O 0.6294 0.7911 0.4746  2 P 1.56-1.57
O 0.4699 0.8701 0.8764  1 P 1.54
O 0.2083 0.3154 0.1260  1 P 1.51
O 0.4198 0.9857 0.2614  1 P 1.54
O 0.9699 0.1299 0.6236  1 P 1.54
O 0.8735 0.2195 0.9941  2 P 1.61
O 0.4506 0.1786 0.3950  1 P 1.51
O 0.9581 0.5365 0.4035  1 P 1.52
O 0.4895 0.7813 0.1102  1 P 1.52
O 0.8706 0.7911 0.9746  2 P 1.56-1.57
O 0.0770 0.3993 0.1824  1 P 1.53
O 0.3706 0.2089 0.5254  2 P 1.56-1.57
O 0.3096 0.6582 0.9284  1 P 1.53
O 0.6708 0.4850 0.2494  1 P 1.54
O 0.3237 0.1338 0.2996  1 P 1.54
O 0.0543 0.5285 0.8917  1 P 1.52
O 0.5301 0.1299 0.1236  1 P 1.54
O 0.1265 0.7805 0.0059  2 P 1.61
O 0.9198 0.0143 0.2386  1 P 1.54
O 0.6904 0.3418 0.0716  1 P 1.53
O 0.5802 0.0143 0.7386  1 P 1.54
O 0.2814 0.6111 0.1489  1 P 1.53
P 0.8901 0.4046 0.8319  4 O 1.53-1.61
P 0.4396 0.2733 0.4742  4 O 1.51-1.57
P 0.0604 0.2733 0.9742  4 O 1.51-1.57
P 0.6870 0.2389 0.9936  4 O 1.52-1.60
P 0.3001 0.2057 0.5544  4 O 1.51-1.56
P 0.9530 0.2852 0.4683  4 O 1.52-1.58
P 0.0470 0.7148 0.5317  4 O 1.52-1.58
P 0.1099 0.5954 0.1681  4 O 1.53-1.61
P 0.1416 0.9174 0.8430  4 O 1.53-1.61
P 0.1999 0.2057 0.0544  4 O 1.51-1.56
P 0.3901 0.5954 0.6681  4 O 1.53-1.61
P 0.6416 0.0826 0.6570  4 O 1.53-1.61
P 0.8584 0.0826 0.1570  4 O 1.53-1.61
P 0.8001 0.7943 0.9456  4 O 1.51-1.56
P 0.1870 0.7611 0.5064  4 O 1.52-1.60
P 0.3130 0.7611 0.0064  4 O 1.52-1.60
P 0.6099 0.4046 0.3319  4 O 1.53-1.61
P 0.6999 0.7943 0.4456  4 O 1.51-1.56
P 0.3584 0.9174 0.3430  4 O 1.53-1.61
P 0.5470 0.2852 0.9683  4 O 1.52-1.58
P 0.9396 0.7267 0.0258  4 O 1.51-1.57
P 0.4530 0.7148 0.0317  4 O 1.52-1.58
P 0.8130 0.2389 0.4936  4 O 1.52-1.60
P 0.5604 0.7267 0.5258  4 O 1.51-1.57
Co 0.9994 0.2283 0.2345  4 O 1.85-2.00
Co 0.0006 0.7717 0.7655  4 O 1.85-2.00
Co 0.7464 0.7199 0.2228  5 O 1.87-2.09
Co 0.4940 0.1925 0.2536  5 O 1.90-2.09
Co 0.2464 0.2801 0.2772  5 O 1.87-2.09
Co 0.2589 0.6758 0.7903  4 O 1.85-2.01
Co 0.7589 0.3242 0.7097  4 O 1.85-2.01
Co 0.0060 0.1925 0.7536  5 O 1.90-2.09
Co 0.4994 0.7717 0.2655  4 O 1.85-2.00
Co 0.5060 0.8075 0.7464  5 O 1.90-2.09
Co 0.9940 0.8075 0.2464  5 O 1.90-2.09
Co 0.5006 0.2283 0.7345  4 O 1.85-2.00
Co 0.2411 0.6758 0.2903  4 O 1.85-2.01
Co 0.7536 0.7199 0.7228  5 O 1.87-2.09
Co 0.2536 0.2801 0.7772  5 O 1.87-2.09
Co 0.7411 0.3242 0.2097  4 O 1.85-2.01



No. 5
Entry from Materials Project: a relaxed structure of NaFeS2O2 (PBE with a Hubbard U).

Properties
formation energy: -0.742 eV per atom
MP2020-corrected energy: -64.82 eV per cell
polymorph energy (0 for the lowest one): 0.604 eV/f.u.
VASP energy: -57.56 eV per cell
total magnetic moment: 0.627 μB per atom

Unit cell a=6.4928 b=6.3365 c=6.3365 alpha=118.56 beta=98.04 gamma=98.04
Last column: nearest neighbours and their distance in Å.
Positions (direct):
Na 0.2500 0.3925 0.6075  2 O 2.32
Na 0.7500 0.6075 0.3925  2 O 2.32
O 0.9910 0.2308 0.2435  1 S 1.69
O 0.4910 0.2435 0.2308  1 S 1.69
O 0.5090 0.7565 0.7692  1 S 1.69
O 0.0090 0.7692 0.7565  1 S 1.69
S 0.4647 0.9269 0.6358  1 O 1.69
S 0.0353 0.3642 0.0731  1 O 1.69
S 0.9647 0.6358 0.9269  1 O 1.69
S 0.5353 0.0731 0.3642  1 O 1.69
Fe 0.7500 0.9302 0.0698  2 O 1.99
Fe 0.2500 0.0698 0.9302  2 O 1.99



No. 6
Entry from Materials Project: a relaxed structure of LiVSiO4 (PBE with a Hubbard U).

Properties
formation energy: -2.800 eV per atom
MP2020-corrected energy: -223.25 eV per cell
polymorph energy (0 for the lowest one): 0.272 eV/f.u.
VASP energy: -205.45 eV per cell
total magnetic moment: 0.000 μB per atom

Unit cell a=5.7003 b=9.8339 c=5.7005 alpha=72.39 beta=117.82 gamma=89.62
Last column: nearest neighbours and their distance in Å.
Positions (direct):
Si 0.6839 0.9337 0.3826  4 O 1.66-1.69
Si 0.1837 0.4337 0.3824  4 O 1.66-1.69
Si 0.8162 0.5663 0.6174  4 O 1.66-1.69
Si 0.3164 0.0663 0.6176  4 O 1.66-1.69
O 0.8922 0.3753 0.2663  1 Si 1.66
O 0.8737 0.3836 0.7422  1 Si 1.69
O 0.6262 0.1164 0.2578  1 Si 1.69
O 0.1258 0.6164 0.2574  1 Si 1.69
O 0.6415 0.6247 0.2675  1 Si 1.66
O 0.1077 0.6246 0.7336  1 Si 1.66
O 0.3661 0.3761 0.2574  1 Si 1.68
O 0.8585 0.8753 0.7325  1 Si 1.66
O 0.3923 0.8754 0.2664  1 Si 1.66
O 0.6335 0.6239 0.7422  1 Si 1.68
O 0.1417 0.1246 0.2677  1 Si 1.66
O 0.3742 0.8836 0.7426  1 Si 1.69
O 0.8665 0.8761 0.2578  1 Si 1.69
O 0.1339 0.1239 0.7426  1 Si 1.69
O 0.3583 0.3754 0.7323  1 Si 1.66
O 0.6078 0.1247 0.7337  1 Si 1.66
V 0.7501 0.2500 0.5000  6 O 1.99-2.08
V 0.7500 0.7500 0.0000  6 O 1.99-2.08
V 0.2500 0.7500 0.5000  6 O 1.99-2.08
V 0.2499 0.2500 0.9999  6 O 2.00-2.08
Li 0.2500 0.7500 0.0000  6 O 2.05-2.12
Li 0.5000 0.5000 0.0001  6 O 2.05-2.12
Li 0.0000 0.0000 0.0000  6 O 2.05-2.12
Li 0.7500 0.2500 0.0000  6 O 2.05-2.12



No. 7
Entry from Materials Project: a relaxed structure of Li3Mn5Cu2O12 (PBE with a Hubbard U).

Properties
formation energy: -1.799 eV per atom
MP2020-corrected energy: -158.69 eV per cell
VASP energy: -142.10 eV per cell
total magnetic moment: 0.818 μB per atom

Unit cell a=5.1757 b=5.1757 c=9.7542 alpha=85.78 beta=94.22 gamma=62.09
Last column: nearest neighbours and their distance in Å.
Positions (direct):
Cu 0.7492 0.7492 0.2500  4 O 1.99-2.04
Cu 0.2640 0.2640 0.7500  4 O 1.93-1.94
O 0.6567 0.8094 0.8822  2 Mn 1.91-1.94, 1 Li 1.99
O 0.7373 0.4320 0.1503  2 Mn 1.97-2.05, 1 Cu 1.99
O 0.4320 0.7373 0.3497  2 Mn 1.97-2.05, 1 Cu 1.99
O 0.8094 0.6567 0.6178  2 Mn 1.91-1.94, 1 Li 1.99
O 0.7432 0.0689 0.3614  3 Mn 1.97-2.11, 1 Cu 2.04
O 0.5535 0.2873 0.6430  1 Cu 1.93, 2 Mn 1.97-2.16, 1 Li 2.08
O 0.2873 0.5535 0.8570  1 Cu 1.93, 2 Mn 1.97-2.16, 1 Li 2.08
O 0.2557 0.9628 0.6447  1 Cu 1.94, 2 Mn 1.98-2.03
O 0.1678 0.3140 0.3825  3 Mn 1.98-2.06, 1 Li 2.10
O 0.0689 0.7432 0.1386  3 Mn 1.97-2.11, 1 Cu 2.04
O 0.9628 0.2557 0.8553  1 Cu 1.94, 2 Mn 1.98-2.03
O 0.3140 0.1678 0.1175  3 Mn 1.98-2.06, 1 Li 2.10
Li 0.8605 0.3235 0.5137  3 O 1.99-2.17
Li 0.3235 0.8605 0.9863  3 O 1.99-2.17
Li 0.9185 0.9185 0.7500  6 O 2.08-2.18
Mn 0.9978 0.5037 0.9929  4 O 1.91-2.07
Mn 0.4105 0.4105 0.2500  6 O 1.97-2.06
Mn 0.5825 0.5825 0.7500  6 O 1.94-2.03
Mn 0.5037 0.9978 0.5071  4 O 1.91-2.07
Mn 0.0753 0.0753 0.2500  6 O 1.97-2.11



No. 8
Entry from Materials Project: a relaxed structure of K2Mo8O13 (PBE with a Hubbard U).

Properties
formation energy: -1.653 eV per atom
MP2020-corrected energy: -191.33 eV per cell
VASP energy: -156.78 eV per cell
total magnetic moment: 0.957 μB per atom

Unit cell a=10.1939 b=10.1939 c=3.2910 alpha=90.00 beta=90.00 gamma=90.52
Last column: nearest neighbours and their distance in Å.
Positions (direct):
O 0.7405 0.4528 0.0000  3 Mo 2.11-2.16
O 0.9509 0.7585 0.0000  3 Mo 2.10-2.16
O 0.0491 0.2415 0.0000  3 Mo 2.10-2.16
O 0.5472 0.2595 0.0000  3 Mo 2.11-2.16
O 0.7052 0.7052 0.5000  3 Mo 2.06
O 0.2595 0.5472 0.0000  3 Mo 2.11-2.16
O 0.7585 0.9509 0.0000  3 Mo 2.10-2.16
O 0.2948 0.2948 0.5000  3 Mo 2.06
O 0.8008 0.1992 0.5000  3 Mo 2.05-2.06
O 0.4528 0.7405 0.0000  3 Mo 2.11-2.16
O 0.5000 0.5000 0.5000  6 Mo 2.30-2.37
O 0.1992 0.8008 0.5000  3 Mo 2.05-2.06
O 0.2415 0.0491 0.0000  3 Mo 2.10-2.16
Mo 0.6587 0.3413 0.5000  6 O 2.06-2.30
Mo 0.1146 0.8854 0.0000  4 O 2.05-2.10
Mo 0.8487 0.8487 0.5000  5 O 2.06-2.16
Mo 0.6192 0.6192 0.0000  4 O 2.06-2.11
Mo 0.8854 0.1146 0.0000  4 O 2.05-2.10
Mo 0.1513 0.1513 0.5000  5 O 2.06-2.16
Mo 0.3808 0.3808 0.0000  4 O 2.06-2.11
Mo 0.3413 0.6587 0.5000  6 O 2.06-2.30
K 0.5000 0.0000 0.5000  8 O 3.15, 2 K 3.29
K 0.0000 0.5000 0.5000  8 O 3.15, 2 K 3.29